ZrMo2O8: optimized geometry, PBE with a Hubbard U.

- Calculated total energy: -7.62 eV/atom
- Space group: C2/m

a b c (Å): 6.209 6.209 5.064
angles (deg): 80.73 80.73 60.59
Fractional positions:
O 0.852 0.358 0.778
O 0.642 0.148 0.222
O 0.147 0.147 0.233
O 0.148 0.642 0.222
O 0.652 0.652 0.212
O 0.358 0.852 0.778
O 0.853 0.853 0.767
O 0.348 0.348 0.788
Mo 0.679 0.679 0.867
Mo 0.321 0.321 0.133
Zr 0.000 0.000 0.000

---

Na3VP3NO9: optimized geometry, PBE with a Hubbard U.

- Calculated total energy: -6.80 eV/atom
- Space group: P2_13

a b c (Å): 9.573 9.573 9.573
angles (deg): 90.00 90.00 90.00
Fractional positions:
O 0.627 0.505 0.389
O 0.151 0.728 0.478
O 0.191 0.550 0.668
O 0.505 0.389 0.627
O 0.373 0.005 0.111
O 0.005 0.111 0.373
O 0.978 0.349 0.272
O 0.349 0.272 0.978
O 0.332 0.691 0.950
O 0.651 0.772 0.522
O 0.849 0.228 0.022
O 0.050 0.832 0.809
O 0.478 0.151 0.728
O 0.995 0.611 0.127
O 0.228 0.022 0.849
O 0.950 0.332 0.691
O 0.168 0.309 0.450
O 0.127 0.995 0.611
O 0.668 0.191 0.550
O 0.450 0.168 0.309
O 0.495 0.889 0.873
O 0.611 0.127 0.995
O 0.550 0.668 0.191
O 0.873 0.495 0.889
O 0.111 0.373 0.005
O 0.309 0.450 0.168
O 0.809 0.050 0.832
O 0.772 0.522 0.651
O 0.389 0.627 0.505
O 0.832 0.809 0.050
O 0.522 0.651 0.772
O 0.889 0.873 0.495
O 0.022 0.849 0.228
O 0.272 0.978 0.349
O 0.691 0.950 0.332
O 0.728 0.478 0.151
P 0.668 0.585 0.255
P 0.415 0.755 0.832
P 0.585 0.255 0.668
P 0.332 0.085 0.245
P 0.245 0.332 0.085
P 0.745 0.168 0.915
P 0.915 0.745 0.168
P 0.755 0.832 0.415
P 0.168 0.915 0.745
P 0.085 0.245 0.332
P 0.832 0.415 0.755
P 0.255 0.668 0.585
V 0.580 0.580 0.580
V 0.420 0.080 0.920
V 0.080 0.920 0.420
V 0.920 0.420 0.080
Na 0.199 0.301 0.699
Na 0.512 0.488 0.988
Na 0.488 0.988 0.512
Na 0.801 0.801 0.801
Na 0.393 0.393 0.393
Na 0.607 0.893 0.107
Na 0.893 0.107 0.607
Na 0.012 0.012 0.012
Na 0.107 0.607 0.893
Na 0.988 0.512 0.488
Na 0.699 0.199 0.301
Na 0.301 0.699 0.199
N 0.303 0.803 0.697
N 0.197 0.197 0.197
N 0.803 0.697 0.303
N 0.697 0.303 0.803

---

Na2PdW6S2N2O6: optimized geometry, PBE with a Hubbard U.

- Calculated total energy: -5.49 eV/atom
- Space group: P-1

a b c (Å): 6.520 8.223 7.642
angles (deg): 66.40 88.67 100.34
Fractional positions:
S 0.252 0.450 0.205
S 0.748 0.550 0.795
O 0.460 0.568 0.171
O 0.709 0.743 0.791
O 0.169 0.396 0.417
O 0.291 0.257 0.209
O 0.831 0.604 0.583
O 0.540 0.432 0.829
W 0.008 0.112 0.136
W 0.535 0.100 0.311
W 0.860 0.194 0.502
W 0.465 0.900 0.689
W 0.140 0.806 0.498
W 0.992 0.888 0.864
N 0.298 0.961 0.845
N 0.702 0.039 0.155
Na 0.376 0.279 0.671
Na 0.624 0.721 0.329
Pd 0.000 0.500 0.000

---

| no. | spin magnetization (μB per cell) | DFT formation energy (eV per formula unit) |
| --- | --- | --- |
| 1 | 0.00 | -25.89 |
| 2 | 8.00 | -41.40 |
| 3 | 13.97 | 5.12 |